Material: CsBi4Te6
Method: DFT, PBE
State: optimized geometry

Results
Energy of formation = -0.60 eV per atom
ΔE to the lowest computed polymorph = 0 meV per atom
Energy with MP2020 corrections = -3.81 eV/atom

Unit cell a=4.4598 b=14.6310 c=26.3976 alpha=101.11 beta=94.81 gamma=90.07
With the nearest neighbours (Å) after each atom.
Positions (direct):
Cs  0.0000  0.0000  0.0000  10 Te 4.05-4.30, 2 Cs 4.46
Cs  0.1166  0.0184  0.2168  10 Te 4.01-4.28, 2 Cs 4.46
Cs  0.3738  0.9911  0.7329  9 Te 3.81-4.16
Cs  0.7424  0.0241  0.4821  9 Te 3.81-4.16
Bi  0.0152  0.3702  0.0272  4 Te 3.06-3.36, 1 Bi 3.27
Bi  0.0455  0.7178  0.0777  4 Te 3.04-3.39, 1 Bi 3.26
Bi  0.0713  0.2971  0.1370  4 Te 3.05-3.36, 1 Bi 3.27
Bi  0.0996  0.6450  0.1874  4 Te 3.06-3.38, 1 Bi 3.26
Bi  0.1854  0.2578  0.3798  3 Te 3.01-3.07
Bi  0.2125  0.6000  0.4341  6 Te 3.09-3.31
Bi  0.3183  0.2482  0.6365  4 Te 3.02-3.32
Bi  0.3402  0.5968  0.6827  6 Te 3.12-3.25
Bi  0.4381  0.2294  0.8773  4 Te 3.01-3.34
Bi  0.4636  0.5698  0.9296  5 Te 3.04-3.25
Bi  0.6493  0.4448  0.2853  5 Te 3.04-3.26
Bi  0.6729  0.7848  0.3369  4 Te 3.01-3.35
Bi  0.7601  0.4199  0.5330  6 Te 3.12-3.27
Bi  0.7901  0.7679  0.5783  4 Te 3.02-3.32
Bi  0.8904  0.4158  0.7818  6 Te 3.09-3.31
Bi  0.9205  0.7583  0.8346  3 Te 3.01-3.07
Te  0.1384  0.2945  0.2689  3 Bi 3.07-3.11
Te  0.1617  0.6069  0.3176  5 Bi 3.09-3.39
Te  0.1813  0.9269  0.3551  2 Bi 3.02-3.03
Te  0.2522  0.2677  0.5130  4 Bi 3.12-3.48
Te  0.2796  0.5843  0.5579  6 Bi 3.23-3.45
Te  0.2948  0.9090  0.5862  2 Bi 3.02
Te  0.3773  0.2667  0.7560  4 Bi 3.10-3.34
Te  0.4022  0.5793  0.8000  6 Bi 3.15-3.44
Te  0.4337  0.8980  0.8612  2 Bi 3.01-3.02
Te  0.4950  0.2282  0.9918  3 Bi 3.01-3.07
Te  0.5205  0.5447  0.0419  5 Bi 3.04-3.39
Te  0.5513  0.8630  0.0935  2 Bi 3.04-3.06
Te  0.5624  0.1516  0.1225  2 Bi 3.05-3.06
Te  0.5892  0.4693  0.1731  5 Bi 3.04-3.38
Te  0.6164  0.7869  0.2226  3 Bi 3.01-3.07
Te  0.6730  0.1177  0.3539  2 Bi 3.01-3.02
Te  0.7037  0.4366  0.4156  6 Bi 3.14-3.45
Te  0.7268  0.7492  0.4589  4 Bi 3.10-3.35
Te  0.8138  0.1070  0.6287  2 Bi 3.02
Te  0.8276  0.4327  0.6581  6 Bi 3.25-3.47
Te  0.8523  0.7494  0.7021  4 Bi 3.12-3.46
Te  0.9291  0.0875  0.8599  2 Bi 3.02
Te  0.9467  0.4074  0.8981  5 Bi 3.09-3.40
Te  0.9721  0.7204  0.9454  3 Bi 3.07-3.11